# 1
SrLaZr2 | PBE-GGA | relaxed

The value obtained for the total energy is -85.21 eV per cell. The formation energy comes out at 0.605 eV/atom.

The structure belongs to space group Fm-3m (No. 225); the cell edges are 7.8448, 7.8448 and 7.8448 Å and the angles 90.00°, 90.00° and 90.00°. The asymmetric unit holds Sr at (0.0000, 0.0000, 0.0000), La at (0.0000, 0.0000, 0.5000) and Zr at (0.2500, 0.2500, 0.2500).



# 2
LaTa3 | PBE-GGA | relaxed

The value obtained for the total energy is -76.75 eV per cell. The formation energy comes out at 0.533 eV/atom.

The structure belongs to space group P6_3/mmc (No. 194); the cell edges are 6.5132, 6.5132 and 5.0864 Å and the angles 90.00°, 90.00° and 120.00°. The asymmetric unit holds La at (0.3333, 0.6667, 0.2500) and Ta at (0.1404, 0.2807, 0.7500).



# 3
La3Ta | PBE-GGA | relaxed

The value obtained for the total energy is -49.91 eV per cell. The formation energy comes out at 0.428 eV/atom.

The structure belongs to space group I4/mmm (No. 139); the cell edges are 4.9035, 4.9035 and 9.8006 Å and the angles 90.00°, 90.00° and 90.00°. The asymmetric unit holds La at (0.0000, 0.0000, 0.0000), La at (0.0000, 0.5000, 0.2500) and Ta at (0.0000, 0.0000, 0.5000).